Material: Li2Mn3SbO8
Method: DFT, GGA+U
State: relaxed

```
data_Li2Mn3SbO8
_space_group_name_H-M_alt 'P 1'
_space_group_IT_number 1
_space_group_name_Hall 'P 1'
_cell_length_a 6.097
_cell_length_b 6.098
_cell_length_c 10.346
_cell_angle_alpha 87.87
_cell_angle_beta 73.49
_cell_angle_gamma 61.22
loop_
_atom_site_label
_atom_site_type_symbol
_atom_site_fract_x
_atom_site_fract_y
_atom_site_fract_z
_atom_site_occupancy
Li1 Li 0.097 0.453 0.317 1
Li2 Li 0.108 0.952 0.818 1
Li3 Li 0.892 0.048 0.182 1
Li4 Li 0.903 0.547 0.683 1
Mn1 Mn 0.495 0.753 0.250 1
Mn2 Mn 0.500 0.000 0.000 1
Mn3 Mn 0.500 0.000 0.500 1
Mn4 Mn 0.500 0.500 0.000 1
Mn5 Mn 0.500 0.500 0.500 1
Mn6 Mn 0.505 0.247 0.750 1
Sb1 Sb 0.000 0.000 0.500 1
Sb2 Sb 0.000 0.500 0.000 1
O1 O 0.228 0.116 0.379 1
O2 O 0.228 0.375 0.118 1
O3 O 0.254 0.614 0.891 1
O4 O 0.254 0.651 0.387 1
O5 O 0.254 0.895 0.611 1
O6 O 0.256 0.155 0.882 1
O7 O 0.311 0.841 0.112 1
O8 O 0.315 0.342 0.616 1
O9 O 0.685 0.658 0.384 1
O10 O 0.689 0.159 0.888 1
O11 O 0.744 0.845 0.118 1
O12 O 0.746 0.105 0.389 1
O13 O 0.746 0.349 0.613 1
O14 O 0.746 0.386 0.109 1
O15 O 0.772 0.625 0.882 1
O16 O 0.772 0.884 0.621 1
```

SG   P-1
Corrected total energy (MP2020 scheme)   -208.8 eV/cell
Electronic total energy   -6.706 eV per atom
Formation energy   -2.10 eV/atom
Total magnetic moment   0.01 μB per formula unit
V   11.46 Å³/atom
Crystal system   triclinic